Na2Zn11Mo12O48 | the Materials Project database | PBE+U | optimized geometry; DFT formation energy = -1937 meV per atom; total magnetic moment = 0.000 μB per formula unit; electronic total energy = -454.1 eV per cell; E (MP2020) = -525.5 eV for the cell shown
1.0
9.845 0.000 0.000
-0.688 10.985 0.000
-1.777 -4.746 10.257
Na Zn Mo O
2 11 12 48
Direct
0.000 0.000 0.000
0.500 0.495 0.499
0.110 0.920 0.408
0.121 0.591 0.902
0.143 0.482 0.588
0.364 0.014 0.912
0.378 0.897 0.601
0.385 0.563 0.089
0.620 0.427 0.920
0.624 0.095 0.400
0.644 0.983 0.087
0.865 0.510 0.401
0.890 0.071 0.595
0.067 0.819 0.654
0.134 0.271 0.901
0.189 0.589 0.357
0.315 0.904 0.148
0.370 0.218 0.598
0.434 0.673 0.846
0.568 0.319 0.156
0.632 0.774 0.403
0.687 0.087 0.853
0.815 0.404 0.647
0.870 0.720 0.097
0.935 0.174 0.347
0.000 0.911 0.563
0.001 0.080 0.437
0.013 0.260 0.994
0.013 0.522 0.290
0.019 0.134 0.217
0.030 0.636 0.560
0.046 0.201 0.735
0.206 0.450 0.947
0.208 0.775 0.450
0.220 0.939 0.274
0.241 0.975 0.040
0.245 0.322 0.577
0.248 0.615 0.776
0.253 0.876 0.726
0.262 0.518 0.466
0.263 0.168 0.921
0.281 0.553 0.228
0.296 0.045 0.557
0.299 0.721 0.057
0.458 0.292 0.762
0.468 0.857 0.944
0.478 0.356 0.283
0.494 0.979 0.226
0.497 0.213 0.497
0.499 0.579 0.935
0.505 0.415 0.064
0.506 0.010 0.775
0.506 0.779 0.504
0.518 0.635 0.716
0.535 0.133 0.059
0.544 0.703 0.239
0.694 0.265 0.937
0.706 0.948 0.445
0.719 0.438 0.772
0.742 0.476 0.540
0.746 0.375 0.235
0.746 0.827 0.077
0.749 0.114 0.277
0.757 0.671 0.426
0.761 0.018 0.962
0.781 0.052 0.726
0.784 0.557 0.053
0.795 0.220 0.554
0.956 0.788 0.264
0.971 0.357 0.445
0.984 0.858 0.785
0.994 0.479 0.723
0.998 0.713 0.995